1.
# Mo4H12N2O15

Mo4H12N2O15 after structural relaxation (PBE+U, Materials Project).

```
Mo4H12N2O15
1.0
8.0469 0.0000 0.0000
-2.8441 10.0013 0.0000
-1.8273 -5.1858 9.3693
Mo H N O
8 24 4 30
direct
0.0342 0.3530 0.2201 Mo
0.0969 0.8192 0.5769 Mo
0.1198 0.3774 0.7729 Mo
0.2448 0.5513 0.5636 Mo
0.7552 0.4487 0.4364 Mo
0.8802 0.6226 0.2271 Mo
0.9031 0.1808 0.4231 Mo
0.9658 0.6470 0.7799 Mo
0.1607 0.0400 0.2439 H
0.2056 0.1229 0.9358 H
0.2923 0.1135 0.0836 H
0.3062 0.7524 0.0436 H
0.3429 0.2833 0.0863 H
0.3570 0.1702 0.3225 H
0.3598 0.2126 0.6287 H
0.3702 0.9243 0.1621 H
0.4271 0.1577 0.9856 H
0.4316 0.6440 0.2846 H
0.4556 0.8119 0.4164 H
0.4764 0.7991 0.2587 H
0.5236 0.2009 0.7413 H
0.5444 0.1881 0.5836 H
0.5684 0.3560 0.7154 H
0.5729 0.8423 0.0144 H
0.6298 0.0757 0.8379 H
0.6402 0.7874 0.3713 H
0.6430 0.8298 0.6775 H
0.6571 0.7167 0.9137 H
0.6938 0.2476 0.9564 H
0.7077 0.8865 0.9164 H
0.7944 0.8771 0.0642 H
0.8393 0.9600 0.7561 H
0.3182 0.1693 0.0240 N
0.4978 0.2387 0.6667 N
0.5022 0.7613 0.3333 N
0.6818 0.8307 0.9760 N
0.0349 0.8367 0.9062 O
0.0428 0.5667 0.4152 O
0.0774 0.9723 0.7148 O
0.0829 0.7114 0.2080 O
0.0889 0.2160 0.5832 O
0.1338 0.5890 0.8734 O
0.1494 0.3459 0.3981 O
0.1994 0.7296 0.6910 O
0.2408 0.4445 0.2042 O
0.2836 0.0717 0.2356 O
0.2887 0.3651 0.8837 O
0.2956 0.8960 0.5447 O
0.3230 0.5037 0.6967 O
0.4154 0.8420 0.1168 O
0.4420 0.6469 0.5416 O
0.5580 0.3531 0.4584 O
0.5846 0.1580 0.8832 O
0.6770 0.4963 0.3033 O
0.7044 0.1040 0.4553 O
0.7113 0.6349 0.1163 O
0.7164 0.9283 0.7644 O
0.7592 0.5555 0.7958 O
0.8006 0.2704 0.3090 O
0.8506 0.6541 0.6019 O
0.8662 0.4110 0.1266 O
0.9111 0.7840 0.4168 O
0.9171 0.2886 0.7920 O
0.9226 0.0277 0.2852 O
0.9572 0.4333 0.5848 O
0.9651 0.1633 0.0938 O
```

Summary:
magnetization = 0.0 μB/f.u.
DFT formation energy = -32.1 kcal/mol of atoms

2.
# Mo4H14N2O17

Mo4H14N2O17 after structural relaxation (PBE+U, Materials Project).

```
Mo4H14N2O17
1.0
10.6531 0.0000 0.0000
0.0000 8.0527 0.0000
-8.4092 0.0000 18.2533
Mo H N O
16 56 8 68
direct
0.0105 0.2176 0.4857 Mo
0.0105 0.2824 0.9857 Mo
0.0760 0.0410 0.6536 Mo
0.0760 0.4590 0.1536 Mo
0.2851 0.1719 0.4406 Mo
0.2851 0.3281 0.9406 Mo
0.3441 0.0826 0.6114 Mo
0.3441 0.4174 0.1114 Mo
0.6559 0.5826 0.8886 Mo
0.6559 0.9174 0.3886 Mo
0.7149 0.6719 0.0594 Mo
0.7149 0.8281 0.5594 Mo
0.9240 0.5410 0.8464 Mo
0.9240 0.9590 0.3464 Mo
0.9895 0.7176 0.0143 Mo
0.9895 0.7824 0.5143 Mo
0.1237 0.1573 0.8162 H
0.1237 0.3427 0.3162 H
0.2025 0.5938 0.6958 H
0.2022 0.7459 0.3571 H
0.2022 0.7541 0.8571 H
0.2025 0.9062 0.1958 H
0.2194 0.0189 0.8748 H
0.2194 0.4811 0.3748 H
0.2502 0.1074 0.1975 H
0.2502 0.3926 0.6975 H
0.2640 0.5281 0.5375 H
0.2640 0.9719 0.0375 H
0.2993 0.7067 0.5041 H
0.2993 0.7933 0.0041 H
0.3010 0.9997 0.2769 H
0.3010 0.5003 0.7769 H
0.3615 0.7067 0.3843 H
0.3615 0.7933 0.8843 H
0.3697 0.5437 0.7158 H
0.3697 0.9563 0.2158 H
0.3889 0.6563 0.5948 H
0.3889 0.8437 0.0948 H
0.3978 0.1018 0.7684 H
0.3978 0.3982 0.2684 H
0.4124 0.5524 0.5289 H
0.4124 0.9476 0.0289 H
0.4561 0.5645 0.3110 H
0.4561 0.9355 0.8110 H
0.5439 0.0645 0.1890 H
0.5439 0.4355 0.6890 H
0.5876 0.0524 0.9711 H
0.5876 0.4476 0.4711 H
0.6022 0.6018 0.7316 H
0.6022 0.8982 0.2316 H
0.6111 0.1563 0.9052 H
0.6111 0.3437 0.4052 H
0.6303 0.0437 0.7842 H
0.6303 0.4563 0.2842 H
0.6385 0.2067 0.1157 H
0.6385 0.2933 0.6157 H
0.6990 0.0003 0.7231 H
0.6990 0.4997 0.2231 H
0.7007 0.2067 0.9959 H
0.7007 0.2933 0.4959 H
0.7360 0.0281 0.9625 H
0.7360 0.4719 0.4625 H
0.7498 0.6074 0.3025 H
0.7498 0.8926 0.8025 H
0.7806 0.5189 0.6252 H
0.7806 0.9811 0.1252 H
0.7975 0.0938 0.8042 H
0.7978 0.2459 0.1429 H
0.7978 0.2541 0.6429 H
0.7975 0.4062 0.3042 H
0.8763 0.6573 0.6838 H
0.8763 0.8427 0.1838 H
0.2801 0.5090 0.7217 N
0.2801 0.9910 0.2217 N
0.3401 0.6124 0.5417 N
0.3401 0.8876 0.0417 N
0.6599 0.1124 0.9583 N
0.6599 0.3876 0.4583 N
0.7199 0.0090 0.7783 N
0.7199 0.4910 0.2783 N
0.0298 0.7298 0.9358 O
0.0298 0.7702 0.4358 O
0.0613 0.6121 0.8091 O
0.0613 0.8879 0.3091 O
0.0664 0.2073 0.7255 O
0.0664 0.2927 0.2255 O
0.0793 0.6194 0.5700 O
0.0793 0.8806 0.0700 O
0.0814 0.1009 0.4132 O
0.0814 0.3991 0.9132 O
0.1214 0.5279 0.0643 O
0.1214 0.9721 0.5643 O
0.1606 0.6216 0.2101 O
0.1606 0.8784 0.7101 O
0.1678 0.1279 0.8695 O
0.1678 0.3721 0.3695 O
0.2010 0.2263 0.0267 O
0.2010 0.2737 0.5267 O
0.2492 0.1699 0.6697 O
0.2492 0.3301 0.1697 O
0.2761 0.6664 0.3860 O
0.2761 0.8336 0.8860 O
0.3143 0.0701 0.3724 O
0.3143 0.4299 0.8724 O
0.3436 0.0111 0.5173 O
0.3436 0.4889 0.0173 O
0.4044 0.6046 0.1558 O
0.4044 0.8954 0.6558 O
0.4147 0.1773 0.9788 O
0.4147 0.3227 0.4788 O
0.4794 0.0526 0.8079 O
0.4794 0.4474 0.3079 O
0.4868 0.2179 0.6445 O
0.4868 0.2821 0.1445 O
0.5132 0.7179 0.8555 O
0.5132 0.7821 0.3555 O
0.5206 0.5526 0.6921 O
0.5206 0.9474 0.1921 O
0.5853 0.6773 0.5212 O
0.5853 0.8227 0.0212 O
0.5956 0.1046 0.3442 O
0.5956 0.3954 0.8442 O
0.6564 0.5111 0.9827 O
0.6564 0.9889 0.4827 O
0.6857 0.5701 0.1276 O
0.6857 0.9299 0.6276 O
0.7239 0.1664 0.1140 O
0.7239 0.3336 0.6140 O
0.7508 0.6699 0.8303 O
0.7508 0.8301 0.3303 O
0.7990 0.7263 0.4733 O
0.7990 0.7737 0.9733 O
0.8322 0.6279 0.6305 O
0.8322 0.8721 0.1305 O
0.8394 0.1216 0.2899 O
0.8394 0.3784 0.7899 O
0.8786 0.0279 0.4357 O
0.8786 0.4721 0.9357 O
0.9186 0.6009 0.0867 O
0.9186 0.8991 0.5868 O
0.9207 0.1194 0.9300 O
0.9207 0.3806 0.4300 O
0.9336 0.7073 0.7745 O
0.9336 0.7927 0.2745 O
0.9387 0.1121 0.6909 O
0.9387 0.3879 0.1909 O
0.9702 0.2298 0.5642 O
0.9702 0.2702 0.0642 O
```

Summary:
magnetization = 0.1 μB/f.u.
DFT formation energy = -31.1 kcal/mol of atoms